The following is a DFT calculation (PBE) of an optimized crystal structure of DyMgAu2.

DFT formation energy in eV/f.u.: -3.13
Crystal system: cubic
SG: Fm-3m (225)

Geometry as extended XYZ:
```
4
Lattice="0.000 3.473 3.473 3.473 0.000 3.473 3.473 3.473 0.000" Properties=species:S:1:pos:R:3 pbc="T T T"
Dy 0.000 0.000 0.000
Mg 3.473 3.473 3.473
Au 1.737 1.737 1.737
Au 5.210 5.210 5.210
```